Entry 1:
The following is a DFT calculation (PBE) of an optimized crystal structure of CsW3Cl9.

Unit cell a=9.8290 b=9.8290 c=8.7166 alpha=90.00 beta=90.00 gamma=120.00
Last column: nearest neighbours and their distance in Å.
Fractional coordinates of all 26 atoms:
Cl: 0.6523 0.5984 0.7028  1 W 2.49
W: 0.0262 0.8399 0.1256  5 Cl 2.41-2.49
Cl: 0.1796 0.2090 0.6920  2 W 2.42
Cs: 0.6667 0.3333 0.4190  9 Cl 3.65-4.08
W: 0.8137 0.9738 0.1256  5 Cl 2.41-2.49
W: 0.1863 0.0262 0.8744  5 Cl 2.41-2.49
W: 0.8399 0.8137 0.8744  5 Cl 2.41-2.49
Cl: 0.3477 0.4016 0.2972  1 W 2.49
Cl: 0.0294 0.8204 0.6920  2 W 2.42
Cl: 0.0539 0.6523 0.2972  1 W 2.49
W: 0.9738 0.1601 0.8744  5 Cl 2.41-2.49
Cl: 0.8467 0.5974 0.9980  2 W 2.41
Cl: 0.4026 0.2493 0.9980  2 W 2.41
Cl: 0.4016 0.0539 0.7028  1 W 2.49
Cl: 0.9461 0.3477 0.7028  1 W 2.49
Cl: 0.2090 0.0294 0.3080  2 W 2.42
Cl: 0.7910 0.9706 0.6920  2 W 2.42
Cs: 0.3333 0.6667 0.5810  9 Cl 3.65-4.08
Cl: 0.7507 0.1533 0.9980  2 W 2.41
Cl: 0.1533 0.4026 0.0020  2 W 2.41
Cl: 0.5984 0.9461 0.2972  1 W 2.49
W: 0.1601 0.1863 0.1256  5 Cl 2.41-2.49
Cl: 0.8204 0.7910 0.3080  2 W 2.42
Cl: 0.2493 0.8467 0.0020  2 W 2.41
Cl: 0.5974 0.7507 0.0020  2 W 2.41
Cl: 0.9706 0.1796 0.3080  2 W 2.42

Calculated values
total energy = -5.3046 eV/atom
energy of formation = -1390.7 meV/atom

Entry 2:
The following is a DFT calculation (PBE) of an optimized crystal structure of CsWCl6.

Unit cell a=7.0744 b=7.0744 c=12.7603 alpha=79.17 beta=79.17 gamma=55.54
Last column: nearest neighbours and their distance in Å.
Fractional coordinates of all 16 atoms:
Cl: 0.7070 0.4628 0.1008  1 W 2.35
Cl: 0.1167 0.1998 0.4608  1 W 2.35
Cl: 0.5372 0.2930 0.3992  1 W 2.35
Cs: 0.8832 0.1168 0.7500  12 Cl 3.74-3.87
W: 0.0000 0.5000 0.0000  6 Cl 2.35
Cl: 0.8002 0.8833 0.0392  1 W 2.35
Cl: 0.8833 0.8002 0.5392  1 W 2.35
Cl: 0.2930 0.5372 0.8992  1 W 2.35
W: 0.5000 0.0000 0.5000  6 Cl 2.35
Cl: 0.6267 0.8048 0.3459  1 W 2.35
Cl: 0.8048 0.6267 0.8459  1 W 2.35
Cs: 0.1168 0.8832 0.2500  12 Cl 3.74-3.87
Cl: 0.3733 0.1952 0.6541  1 W 2.35
Cl: 0.4628 0.7070 0.6008  1 W 2.35
Cl: 0.1998 0.1167 0.9608  1 W 2.35
Cl: 0.1952 0.3733 0.1541  1 W 2.35

Calculated values
total energy = -4.2961 eV/atom
energy of formation = -1638.5 meV/atom